Compound: YO3
Source: the Materials Project
Functional: PBE
Structure: optimized geometry

formation energy from the elements	-2021	meV/atom
MP2020-corrected energy	-58.8	eV for the cell shown
magnetization	3.00	μB per formula unit

a = 3.424 Å, b = 6.498 Å, c = 6.498 Å
α = 120.00°, β = 90.00°, γ = 90.00°
Element x y z (fractional)
1 Y 0.250 0.333 0.667
2 Y 0.750 0.667 0.333
3 O 0.250 0.422 0.057
4 O 0.750 0.578 0.943
5 O 0.250 0.943 0.365
6 O 0.750 0.057 0.635
7 O 0.250 0.635 0.578
8 O 0.750 0.365 0.422

Compound: Ba2Cu3O6
Source: the Materials Project
Functional: PBE
Structure: optimized geometry

formation energy from the elements	-1666	meV/atom
MP2020-corrected energy	-64.1	eV for the cell shown
magnetization	1.00	μB per formula unit

a = 4.494 Å, b = 4.494 Å, c = 11.639 Å
α = 86.75°, β = 86.75°, γ = 106.13°
Element x y z (fractional)
1 Ba 0.061 0.048 0.251
2 Ba 0.952 0.939 0.749
3 Cu 0.266 0.734 0.500
4 Cu 0.277 0.723 0.000
5 Cu 0.742 0.258 0.500
6 O 0.527 0.018 0.391
7 O 0.982 0.473 0.609
8 O 0.438 0.921 0.869
9 O 0.079 0.562 0.131
10 O 0.481 0.973 0.606
11 O 0.027 0.519 0.394

Compound: Cs2O
Source: the Materials Project
Functional: PBE
Structure: optimized geometry

formation energy from the elements	-1098	meV/atom
MP2020-corrected energy	-40.1	eV for the cell shown

a = 5.630 Å, b = 7.315 Å, c = 9.416 Å
α = 90.00°, β = 90.00°, γ = 90.00°
Element x y z (fractional)
1 Cs 0.250 0.025 0.140
2 Cs 0.250 0.107 0.610
3 Cs 0.750 0.393 0.110
4 Cs 0.750 0.475 0.640
5 Cs 0.250 0.525 0.360
6 Cs 0.250 0.607 0.890
7 Cs 0.750 0.893 0.390
8 Cs 0.750 0.975 0.860
9 O 0.750 0.278 0.403
10 O 0.250 0.222 0.903
11 O 0.750 0.778 0.097
12 O 0.250 0.722 0.597

Compound: SiO2
Source: the Materials Project
Functional: PBE
Structure: optimized geometry

formation energy from the elements	-3259	meV/atom
MP2020-corrected energy	-702.7	eV for the cell shown
magnetization	0.00	μB per formula unit

a = 13.378 Å, b = 13.378 Å, c = 16.940 Å
α = 61.58°, β = 61.58°, γ = 37.66°
Element x y z (fractional)
1 Si 0.758 0.128 0.213
2 Si 0.441 0.810 0.888
3 Si 0.759 0.391 0.098
4 Si 0.556 0.921 0.221
5 Si 0.843 0.471 0.598
6 Si 0.559 0.190 0.112
7 Si 0.471 0.843 0.598
8 Si 0.079 0.444 0.779
9 Si 0.596 0.965 0.598
10 Si 0.242 0.872 0.787
11 Si 0.444 0.079 0.779
12 Si 0.965 0.596 0.598
13 Si 0.190 0.559 0.112
14 Si 0.128 0.758 0.213
15 Si 0.529 0.157 0.402
16 Si 0.404 0.035 0.402
17 Si 0.810 0.441 0.888
18 Si 0.623 0.991 0.906
19 Si 0.609 0.241 0.902
20 Si 0.241 0.609 0.902
21 Si 0.035 0.404 0.402
22 Si 0.009 0.377 0.094
23 Si 0.872 0.242 0.787
24 Si 0.991 0.623 0.906
25 Si 0.391 0.759 0.098
26 Si 0.377 0.009 0.094
27 Si 0.157 0.529 0.402
28 Si 0.921 0.556 0.221
29 O 0.485 0.932 0.329
30 O 0.068 0.598 0.496
31 O 0.518 0.056 0.385
32 O 0.347 0.347 0.410
33 O 0.639 0.179 0.005
34 O 0.784 0.784 0.611
35 O 0.156 0.658 0.318
36 O 0.515 0.068 0.671
37 O 0.844 0.342 0.682
38 O 0.142 0.596 0.886
39 O 0.404 0.858 0.114
40 O 0.932 0.932 0.213
41 O 0.420 0.990 0.179
42 O 0.353 0.809 0.848
43 O 0.204 0.765 0.829
44 O 0.409 0.968 0.833
45 O 0.216 0.216 0.389
46 O 0.068 0.515 0.671
47 O 0.598 0.068 0.496
48 O 0.596 0.142 0.886
49 O 0.360 0.360 0.126
50 O 0.056 0.518 0.385
51 O 0.858 0.404 0.114
52 O 0.235 0.796 0.171
53 O 0.990 0.420 0.179
54 O 0.191 0.647 0.152
55 O 0.647 0.191 0.152
56 O 0.653 0.653 0.590
57 O 0.439 0.439 0.885
58 O 0.765 0.204 0.829
59 O 0.561 0.561 0.115
60 O 0.402 0.932 0.504
61 O 0.729 0.729 0.208
62 O 0.591 0.032 0.167
63 O 0.821 0.361 0.995
64 O 0.968 0.409 0.833
65 O 0.814 0.814 0.916
66 O 0.068 0.068 0.787
67 O 0.186 0.186 0.084
68 O 0.000 0.500 0.000
69 O 0.932 0.485 0.329
70 O 0.342 0.844 0.682
71 O 0.580 0.010 0.821
72 O 0.010 0.580 0.821
73 O 0.640 0.640 0.874
74 O 0.271 0.271 0.792
75 O 0.482 0.944 0.615
76 O 0.361 0.821 0.995
77 O 0.500 0.000 0.000
78 O 0.179 0.639 0.005
79 O 0.932 0.402 0.504
80 O 0.809 0.353 0.848
81 O 0.796 0.235 0.171
82 O 0.658 0.156 0.318
83 O 0.032 0.591 0.167
84 O 0.944 0.482 0.615

Compound: GdSnPt
Source: the Materials Project
Functional: PBE
Structure: optimized geometry

formation energy from the elements	-1080	meV/atom

a = 7.563 Å, b = 7.563 Å, c = 4.072 Å
α = 90.00°, β = 90.00°, γ = 120.00°
Element x y z (fractional)
1 Gd 0.410 0.410 0.500
2 Gd 0.590 0.000 0.500
3 Gd 0.000 0.590 0.500
4 Sn 0.745 0.745 0.000
5 Sn 0.255 0.000 0.000
6 Sn 0.000 0.255 0.000
7 Pt 0.667 0.333 0.000
8 Pt 0.333 0.667 0.000
9 Pt 0.000 0.000 0.500

Compound: V6Cu5Te12
Source: the Materials Project
Functional: PBE
Structure: optimized geometry

formation energy from the elements	-90	meV/atom
MP2020-corrected energy	-229.6	eV for the cell shown
magnetization	0.26	μB per formula unit

a = 7.837 Å, b = 9.019 Å, c = 15.564 Å
α = 85.82°, β = 81.57°, γ = 86.27°
Element x y z (fractional)
1 V 0.874 0.403 0.429
2 V 0.374 0.045 0.544
3 V 0.950 0.667 0.713
4 V 0.077 0.653 0.866
5 V 0.596 0.309 0.733
6 V 0.873 0.999 0.098
7 V 0.127 0.001 0.902
8 V 0.404 0.691 0.267
9 V 0.923 0.347 0.134
10 V 0.050 0.333 0.287
11 V 0.626 0.955 0.456
12 V 0.126 0.597 0.571
13 Cu 0.508 0.772 0.592
14 Cu 0.130 0.410 0.738
15 Cu 0.011 0.915 0.606
16 Cu 0.336 0.613 0.714
17 Cu 0.994 0.684 0.068
18 Cu 0.006 0.316 0.932
19 Cu 0.664 0.387 0.286
20 Cu 0.989 0.085 0.394
21 Cu 0.870 0.590 0.262
22 Cu 0.492 0.228 0.408
23 Te 0.938 0.813 0.469
24 Te 0.648 0.056 0.621
25 Te 0.374 0.365 0.604
26 Te 0.787 0.502 0.606
27 Te 0.940 0.184 0.791
28 Te 0.171 0.875 0.736
29 Te 0.462 0.084 0.848
30 Te 0.614 0.780 0.756
31 Te 0.303 0.757 0.963
32 Te 0.787 0.509 0.858
33 Te 0.833 0.851 0.954
34 Te 0.341 0.435 0.864
35 Te 0.659 0.565 0.136
36 Te 0.167 0.149 0.046
37 Te 0.697 0.243 0.037
38 Te 0.213 0.491 0.142
39 Te 0.386 0.220 0.244
40 Te 0.538 0.916 0.152
41 Te 0.829 0.125 0.264
42 Te 0.060 0.816 0.209
43 Te 0.213 0.498 0.394
44 Te 0.352 0.944 0.379
45 Te 0.626 0.635 0.396
46 Te 0.062 0.187 0.531

Compound: Sr2RuO6
Source: the Materials Project
Functional: PBE
Structure: optimized geometry

formation energy from the elements	-1436	meV/atom
MP2020-corrected energy	-110.5	eV for the cell shown
magnetization	0.00	μB per formula unit

a = 6.321 Å, b = 6.939 Å, c = 9.785 Å
α = 47.33°, β = 90.00°, γ = 90.00°
Element x y z (fractional)
1 Sr 0.821 0.431 0.898
2 Sr 0.679 0.431 0.398
3 Sr 0.321 0.569 0.602
4 Sr 0.179 0.569 0.102
5 Ru 0.000 0.000 0.500
6 Ru 0.500 0.000 0.000
7 O 0.067 0.349 0.424
8 O 0.774 0.944 0.634
9 O 0.284 0.425 0.423
10 O 0.726 0.944 0.134
11 O 0.216 0.425 0.923
12 O 0.433 0.349 0.924
13 O 0.567 0.651 0.076
14 O 0.784 0.575 0.077
15 O 0.274 0.056 0.866
16 O 0.716 0.575 0.577
17 O 0.226 0.056 0.366
18 O 0.933 0.651 0.576

Compound: Gd2PdRu
Source: the Materials Project
Functional: PBE
Structure: optimized geometry

formation energy from the elements	-579	meV/atom

a = 4.933 Å, b = 4.933 Å, c = 4.933 Å
α = 60.00°, β = 60.00°, γ = 60.00°
Element x y z (fractional)
1 Gd 0.750 0.750 0.750
2 Gd 0.250 0.250 0.250
3 Pd 0.000 0.000 0.000
4 Ru 0.500 0.500 0.500

Compound: LiPrTl2
Source: the Materials Project
Functional: PBE
Structure: optimized geometry

formation energy from the elements	-340	meV/atom

a = 5.326 Å, b = 5.326 Å, c = 5.326 Å
α = 60.00°, β = 60.00°, γ = 60.00°
Element x y z (fractional)
1 Li 0.500 0.500 0.500
2 Pr 0.000 0.000 0.000
3 Tl 0.250 0.250 0.250
4 Tl 0.750 0.750 0.750

Compound: Co2Ge
Source: the Materials Project
Functional: PBE
Structure: optimized geometry

formation energy from the elements	-150	meV/atom

a = 3.823 Å, b = 5.062 Å, c = 7.216 Å
α = 90.00°, β = 90.00°, γ = 90.00°
Element x y z (fractional)
1 Co 0.750 0.174 0.561
2 Co 0.750 0.674 0.939
3 Co 0.250 0.826 0.439
4 Co 0.250 0.326 0.061
5 Co 0.750 0.538 0.281
6 Co 0.750 0.038 0.219
7 Co 0.250 0.462 0.719
8 Co 0.250 0.962 0.781
9 Ge 0.750 0.207 0.891
10 Ge 0.750 0.707 0.609
11 Ge 0.250 0.793 0.109
12 Ge 0.250 0.293 0.391

Compound: CaSn2O5
Source: the Materials Project
Functional: PBE
Structure: optimized geometry

formation energy from the elements	-2405	meV/atom
MP2020-corrected energy	-108.0	eV for the cell shown
magnetization	0.00	μB per formula unit

a = 4.001 Å, b = 5.814 Å, c = 10.864 Å
α = 90.00°, β = 90.00°, γ = 110.13°
Element x y z (fractional)
1 Ca 0.807 0.615 0.750
2 Ca 0.193 0.385 0.250
3 Sn 0.132 0.264 0.563
4 Sn 0.868 0.736 0.437
5 Sn 0.868 0.736 0.063
6 Sn 0.132 0.264 0.937
7 O 0.802 0.603 0.250
8 O 0.198 0.397 0.750
9 O 0.306 0.611 0.053
10 O 0.694 0.389 0.947
11 O 0.694 0.389 0.553
12 O 0.306 0.611 0.447
13 O 0.953 0.905 0.609
14 O 0.047 0.095 0.391
15 O 0.953 0.905 0.891
16 O 0.047 0.095 0.109

Compound: TbAs
Source: the Materials Project
Functional: PBE
Structure: optimized geometry

formation energy from the elements	-1531	meV/atom

a = 4.139 Å, b = 4.139 Å, c = 4.139 Å
α = 60.00°, β = 60.00°, γ = 60.00°
Element x y z (fractional)
1 Tb 0.500 0.500 0.500
2 As 0.000 0.000 0.000

no.,total energy (eV per atom),V (A^3/atom)
1,-6.83,15.65
2,-5.46,20.44
3,-3.11,32.32
4,-7.91,19.06
5,-9.13,22.41
6,-4.77,23.56
7,-6.03,17.53
8,-11.23,21.22
9,-3.19,26.71
10,-6.43,11.64
11,-6.32,14.83
12,-6.18,25.07